# Na3Sn

Na3Sn after structural relaxation (GGA-PBE, the Materials Project database).

Structure (extended XYZ):
```
4
Lattice="-2.449 2.449 4.763 2.449 -2.449 4.763 2.449 2.449 -4.763" Properties=species:S:1:pos:R:3 pbc="T T T"
Na 0.000 0.000 0.000
Na 2.449 0.000 2.381
Na 0.000 2.449 2.381
Sn 0.000 0.000 4.763
```

Computed properties:
Space-group type = I4/mmm
Uncorrected energy = -2.13 eV per atom
Formation energy from the elements = -0.137 eV/atom

# Na3Sn

Na3Sn after structural relaxation (GGA-PBE, the Materials Project database).

Structure (extended XYZ):
```
4
Lattice="0.000 3.836 3.836 3.836 0.000 3.836 3.836 3.836 0.000" Properties=species:S:1:pos:R:3 pbc="T T T"
Na 0.000 0.000 0.000
Na 1.918 1.918 1.918
Na 5.754 5.754 5.754
Sn 3.836 3.836 3.836
```

Computed properties:
Space-group type = Fm-3m
Uncorrected energy = -2.12 eV per atom
Formation energy from the elements = -0.130 eV/atom